Record 1
This record from the Materials Project describes crystalline Cs2V5O13 at its relaxed geometry. The functional is PBE+U.

Structure (CIF):
```
data_Cs2V5O13
_symmetry_space_group_name_H-M 'P 1'
_symmetry_Int_Tables_number 1
_cell_length_a 8.281
_cell_length_b 8.281
_cell_length_c 8.281
_cell_angle_alpha 123.18
_cell_angle_beta 123.18
_cell_angle_gamma 84.57
loop_
_symmetry_equiv_pos_as_xyz
'x,y,z'
loop_
_atom_site_label
_atom_site_type_symbol
_atom_site_fract_x
_atom_site_fract_y
_atom_site_fract_z
Cs1 Cs 0.000 0.500 0.500
Cs2 Cs 0.500 0.000 0.500
V1 V 0.391 0.391 0.000
V2 V 0.519 0.519 0.549
V3 V 0.519 0.970 0.000
V4 V 0.970 0.519 0.000
V5 V 0.970 0.970 0.451
O1 O 0.026 0.757 0.270
O2 O 0.178 0.178 0.656
O3 O 0.178 0.522 0.000
O4 O 0.331 0.331 0.409
O5 O 0.331 0.922 0.000
O6 O 0.487 0.757 0.730
O7 O 0.522 0.178 0.000
O8 O 0.522 0.522 0.344
O9 O 0.525 0.525 0.000
O10 O 0.757 0.026 0.270
O11 O 0.757 0.487 0.730
O12 O 0.922 0.331 0.000
O13 O 0.922 0.922 0.591
```

Output
Piezoelectric modulus e_max in C/m2: 0.26



Record 2
This record from the Materials Project describes crystalline Ca3Mn2Si3O12 at its relaxed geometry. The functional is PBE+U.

Structure (CIF):
```
data_Ca3Mn2Si3O12
_symmetry_space_group_name_H-M 'P 1'
_symmetry_Int_Tables_number 1
_cell_length_a 10.599
_cell_length_b 10.599
_cell_length_c 10.599
_cell_angle_alpha 109.47
_cell_angle_beta 109.47
_cell_angle_gamma 109.47
loop_
_symmetry_equiv_pos_as_xyz
'x,y,z'
loop_
_atom_site_label
_atom_site_type_symbol
_atom_site_fract_x
_atom_site_fract_y
_atom_site_fract_z
Ca1 Ca 0.125 0.250 0.375
Ca2 Ca 0.125 0.375 0.750
Ca3 Ca 0.250 0.375 0.125
Ca4 Ca 0.250 0.875 0.625
Ca5 Ca 0.375 0.125 0.250
Ca6 Ca 0.375 0.750 0.125
Ca7 Ca 0.625 0.250 0.875
Ca8 Ca 0.625 0.875 0.750
Ca9 Ca 0.750 0.125 0.375
Ca10 Ca 0.750 0.625 0.875
Ca11 Ca 0.875 0.625 0.250
Ca12 Ca 0.875 0.750 0.625
Mn1 Mn 0.000 0.000 0.000
Mn2 Mn 0.000 0.000 0.500
Mn3 Mn 0.000 0.500 0.000
Mn4 Mn 0.000 0.500 0.500
Mn5 Mn 0.500 0.000 0.000
Mn6 Mn 0.500 0.000 0.500
Mn7 Mn 0.500 0.500 0.000
Mn8 Mn 0.500 0.500 0.500
Si1 Si 0.125 0.750 0.875
Si2 Si 0.125 0.875 0.250
Si3 Si 0.250 0.125 0.875
Si4 Si 0.250 0.625 0.375
Si5 Si 0.375 0.250 0.625
Si6 Si 0.375 0.625 0.750
Si7 Si 0.625 0.375 0.250
Si8 Si 0.625 0.750 0.375
Si9 Si 0.750 0.375 0.625
Si10 Si 0.750 0.875 0.125
Si11 Si 0.875 0.125 0.750
Si12 Si 0.875 0.250 0.125
O1 O 0.010 0.206 0.118
O2 O 0.010 0.304 0.892
O3 O 0.088 0.706 0.696
O4 O 0.088 0.882 0.392
O5 O 0.108 0.618 0.412
O6 O 0.108 0.990 0.696
O7 O 0.118 0.010 0.206
O8 O 0.118 0.608 0.912
O9 O 0.196 0.206 0.588
O10 O 0.196 0.490 0.608
O11 O 0.206 0.118 0.010
O12 O 0.206 0.588 0.196
O13 O 0.294 0.304 0.912
O14 O 0.294 0.490 0.382
O15 O 0.304 0.892 0.010
O16 O 0.304 0.912 0.294
O17 O 0.382 0.294 0.490
O18 O 0.382 0.588 0.892
O19 O 0.392 0.088 0.882
O20 O 0.392 0.804 0.510
O21 O 0.412 0.108 0.618
O22 O 0.412 0.804 0.794
O23 O 0.490 0.382 0.294
O24 O 0.490 0.608 0.196
O25 O 0.510 0.392 0.804
O26 O 0.510 0.618 0.706
O27 O 0.588 0.196 0.206
O28 O 0.588 0.892 0.382
O29 O 0.608 0.196 0.490
O30 O 0.608 0.912 0.118
O31 O 0.618 0.412 0.108
O32 O 0.618 0.706 0.510
O33 O 0.696 0.088 0.706
O34 O 0.696 0.108 0.990
O35 O 0.706 0.510 0.618
O36 O 0.706 0.696 0.088
O37 O 0.794 0.412 0.804
O38 O 0.794 0.882 0.990
O39 O 0.804 0.510 0.392
O40 O 0.804 0.794 0.412
O41 O 0.882 0.392 0.088
O42 O 0.882 0.990 0.794
O43 O 0.892 0.010 0.304
O44 O 0.892 0.382 0.588
O45 O 0.912 0.118 0.608
O46 O 0.912 0.294 0.304
O47 O 0.990 0.696 0.108
O48 O 0.990 0.794 0.882
```

Output
ΔE to the lowest computed polymorph in eV/f.u.: 0.44



Record 3
This record from the Materials Project describes crystalline CdFe2O4 at its relaxed geometry. The functional is PBE+U.

Structure (CIF):
```
data_CdFe2O4
_symmetry_space_group_name_H-M 'P 1'
_symmetry_Int_Tables_number 1
_cell_length_a 9.378
_cell_length_b 3.034
_cell_length_c 10.867
_cell_angle_alpha 90.00
_cell_angle_beta 90.00
_cell_angle_gamma 90.00
loop_
_symmetry_equiv_pos_as_xyz
'x,y,z'
loop_
_atom_site_label
_atom_site_type_symbol
_atom_site_fract_x
_atom_site_fract_y
_atom_site_fract_z
Cd1 Cd 0.243 0.250 0.156
Cd2 Cd 0.257 0.750 0.656
Cd3 Cd 0.743 0.250 0.344
Cd4 Cd 0.757 0.750 0.844
Fe1 Fe 0.063 0.250 0.386
Fe2 Fe 0.084 0.250 0.896
Fe3 Fe 0.416 0.750 0.396
Fe4 Fe 0.437 0.750 0.886
Fe5 Fe 0.563 0.250 0.114
Fe6 Fe 0.584 0.250 0.604
Fe7 Fe 0.916 0.750 0.104
Fe8 Fe 0.937 0.750 0.614
O1 O 0.031 0.750 0.784
O2 O 0.082 0.250 0.571
O3 O 0.117 0.750 0.026
O4 O 0.203 0.750 0.339
O5 O 0.297 0.250 0.839
O6 O 0.383 0.250 0.526
O7 O 0.418 0.750 0.071
O8 O 0.469 0.250 0.284
O9 O 0.531 0.750 0.716
O10 O 0.582 0.250 0.929
O11 O 0.617 0.750 0.474
O12 O 0.703 0.750 0.161
O13 O 0.797 0.250 0.661
O14 O 0.883 0.250 0.974
O15 O 0.918 0.750 0.429
O16 O 0.969 0.250 0.216
```

Output
ΔE to the lowest computed polymorph in eV/f.u.: 0.36



Record 4
This record from the Materials Project describes crystalline Mn2VP2O10 at its relaxed geometry. The functional is PBE+U.

Structure (CIF):
```
data_Mn2VP2O10
_symmetry_space_group_name_H-M 'P 1'
_symmetry_Int_Tables_number 1
_cell_length_a 8.914
_cell_length_b 8.897
_cell_length_c 9.441
_cell_angle_alpha 90.00
_cell_angle_beta 99.41
_cell_angle_gamma 90.00
loop_
_symmetry_equiv_pos_as_xyz
'x,y,z'
loop_
_atom_site_label
_atom_site_type_symbol
_atom_site_fract_x
_atom_site_fract_y
_atom_site_fract_z
Mn1 Mn 0.154 0.239 0.138
Mn2 Mn 0.154 0.261 0.638
Mn3 Mn 0.224 0.572 0.383
Mn4 Mn 0.224 0.928 0.883
Mn5 Mn 0.776 0.072 0.117
Mn6 Mn 0.776 0.428 0.617
Mn7 Mn 0.846 0.739 0.362
Mn8 Mn 0.846 0.761 0.862
V1 V 0.422 0.502 0.732
V2 V 0.422 0.998 0.232
V3 V 0.578 0.002 0.768
V4 V 0.578 0.498 0.268
P1 P 0.072 0.649 0.653
P2 P 0.072 0.851 0.153
P3 P 0.473 0.245 0.491
P4 P 0.473 0.255 0.991
P5 P 0.527 0.745 0.009
P6 P 0.527 0.755 0.509
P7 P 0.928 0.149 0.847
P8 P 0.928 0.351 0.347
O1 O 0.045 0.658 0.483
O2 O 0.045 0.842 0.983
O3 O 0.089 0.127 0.803
O4 O 0.089 0.373 0.303
O5 O 0.143 0.709 0.217
O6 O 0.143 0.791 0.717
O7 O 0.158 0.098 0.539
O8 O 0.158 0.402 0.039
O9 O 0.177 0.508 0.692
O10 O 0.177 0.992 0.192
O11 O 0.355 0.156 0.061
O12 O 0.355 0.344 0.561
O13 O 0.382 0.168 0.358
O14 O 0.382 0.332 0.858
O15 O 0.393 0.518 0.271
O16 O 0.393 0.982 0.771
O17 O 0.403 0.650 0.557
O18 O 0.403 0.850 0.057
O19 O 0.439 0.642 0.895
O20 O 0.439 0.858 0.395
O21 O 0.561 0.142 0.605
O22 O 0.561 0.358 0.105
O23 O 0.597 0.150 0.943
O24 O 0.597 0.350 0.443
O25 O 0.607 0.018 0.229
O26 O 0.607 0.482 0.729
O27 O 0.618 0.668 0.142
O28 O 0.618 0.832 0.642
O29 O 0.645 0.656 0.439
O30 O 0.645 0.844 0.939
O31 O 0.823 0.008 0.808
O32 O 0.823 0.492 0.308
O33 O 0.842 0.598 0.961
O34 O 0.842 0.902 0.461
O35 O 0.857 0.209 0.283
O36 O 0.857 0.291 0.783
O37 O 0.911 0.627 0.697
O38 O 0.911 0.873 0.197
O39 O 0.955 0.158 0.017
O40 O 0.955 0.342 0.517
```



Record 5
This record from the Materials Project describes crystalline Cs4FeO3 at its relaxed geometry. The functional is PBE+U.

Structure (CIF):
```
data_Cs4FeO3
_symmetry_space_group_name_H-M 'P 1'
_symmetry_Int_Tables_number 1
_cell_length_a 7.633
_cell_length_b 12.272
_cell_length_c 10.412
_cell_angle_alpha 108.08
_cell_angle_beta 102.88
_cell_angle_gamma 90.28
loop_
_symmetry_equiv_pos_as_xyz
'x,y,z'
loop_
_atom_site_label
_atom_site_type_symbol
_atom_site_fract_x
_atom_site_fract_y
_atom_site_fract_z
O1 O 0.727 0.178 0.174
Cs1 Cs 0.114 0.466 0.851
Cs2 Cs 0.089 0.337 0.404
Cs3 Cs 0.005 0.213 0.012
Cs4 Cs 0.589 0.837 0.404
O2 O 0.227 0.678 0.174
O3 O 0.737 0.916 0.207
Cs5 Cs 0.614 0.966 0.851
Cs6 Cs 0.411 0.163 0.596
Cs7 Cs 0.886 0.534 0.149
Cs8 Cs 0.386 0.034 0.149
Cs9 Cs 0.922 0.133 0.623
O4 O 0.773 0.322 0.826
O5 O 0.611 0.592 0.332
Fe1 Fe 0.858 0.063 0.236
O6 O 0.390 0.408 0.669
Fe2 Fe 0.359 0.563 0.235
Cs10 Cs 0.578 0.367 0.377
Cs11 Cs 0.505 0.713 0.012
Cs12 Cs 0.495 0.287 0.988
Cs13 Cs 0.995 0.787 0.988
O7 O 0.110 0.092 0.331
Cs14 Cs 0.078 0.867 0.377
Cs15 Cs 0.911 0.663 0.596
O8 O 0.273 0.822 0.826
Fe3 Fe 0.642 0.437 0.764
Cs16 Cs 0.422 0.633 0.623
O9 O 0.237 0.416 0.207
O10 O 0.889 0.908 0.668
O11 O 0.263 0.084 0.793
O12 O 0.763 0.584 0.793
Fe4 Fe 0.142 0.937 0.764
```



Record 6
This record from the Materials Project describes crystalline BaLaMn2O6 at its relaxed geometry. The functional is PBE+U.

Structure (CIF):
```
data_BaLaMn2O6
_symmetry_space_group_name_H-M 'P 1'
_symmetry_Int_Tables_number 1
_cell_length_a 5.602
_cell_length_b 5.602
_cell_length_c 5.602
_cell_angle_alpha 60.00
_cell_angle_beta 60.00
_cell_angle_gamma 60.00
loop_
_symmetry_equiv_pos_as_xyz
'x,y,z'
loop_
_atom_site_label
_atom_site_type_symbol
_atom_site_fract_x
_atom_site_fract_y
_atom_site_fract_z
Ba1 Ba 0.000 0.000 0.000
La1 La 0.500 0.500 0.500
Mn1 Mn 0.250 0.250 0.250
Mn2 Mn 0.750 0.750 0.750
O1 O 0.000 0.000 0.500
O2 O 0.000 0.500 0.000
O3 O 0.000 0.500 0.500
O4 O 0.500 0.000 0.000
O5 O 0.500 0.000 0.500
O6 O 0.500 0.500 0.000
```

Output
ΔE to the lowest computed polymorph in eV/f.u.: 0.45



Record 7
This record from the Materials Project describes crystalline K2FeO4 at its relaxed geometry. The functional is PBE+U.

Structure (CIF):
```
data_K2FeO4
_symmetry_space_group_name_H-M 'P 1'
_symmetry_Int_Tables_number 1
_cell_length_a 7.798
_cell_length_b 5.941
_cell_length_c 10.511
_cell_angle_alpha 90.00
_cell_angle_beta 90.00
_cell_angle_gamma 90.00
loop_
_symmetry_equiv_pos_as_xyz
'x,y,z'
loop_
_atom_site_label
_atom_site_type_symbol
_atom_site_fract_x
_atom_site_fract_y
_atom_site_fract_z
K1 K 0.014 0.250 0.196
K2 K 0.163 0.750 0.415
K3 K 0.337 0.250 0.915
K4 K 0.486 0.750 0.696
K5 K 0.514 0.250 0.304
K6 K 0.663 0.750 0.085
K7 K 0.837 0.250 0.585
K8 K 0.986 0.750 0.804
Fe1 Fe 0.230 0.750 0.078
Fe2 Fe 0.270 0.250 0.578
Fe3 Fe 0.730 0.750 0.422
Fe4 Fe 0.770 0.250 0.922
O1 O 0.018 0.750 0.083
O2 O 0.193 0.022 0.649
O3 O 0.193 0.478 0.649
O4 O 0.201 0.250 0.428
O5 O 0.299 0.750 0.928
O6 O 0.307 0.522 0.149
O7 O 0.307 0.978 0.149
O8 O 0.482 0.250 0.583
O9 O 0.518 0.750 0.417
O10 O 0.693 0.022 0.851
O11 O 0.693 0.478 0.851
O12 O 0.701 0.250 0.072
O13 O 0.799 0.750 0.572
O14 O 0.807 0.522 0.351
O15 O 0.807 0.978 0.351
O16 O 0.982 0.250 0.917
```

Output
ΔE to the lowest computed polymorph in eV/f.u.: 0.00



Record 8
This record from the Materials Project describes crystalline K3Cr4PO16 at its relaxed geometry. The functional is PBE+U.

Structure (CIF):
```
data_K3Cr4PO16
_symmetry_space_group_name_H-M 'P 1'
_symmetry_Int_Tables_number 1
_cell_length_a 7.726
_cell_length_b 7.726
_cell_length_c 15.091
_cell_angle_alpha 99.92
_cell_angle_beta 99.92
_cell_angle_gamma 102.21
loop_
_symmetry_equiv_pos_as_xyz
'x,y,z'
loop_
_atom_site_label
_atom_site_type_symbol
_atom_site_fract_x
_atom_site_fract_y
_atom_site_fract_z
K1 K 0.010 0.990 0.500
K2 K 0.319 0.768 0.772
K3 K 0.439 0.510 0.490
K4 K 0.510 0.439 0.990
K5 K 0.768 0.319 0.272
K6 K 0.990 0.010 0.000
Cr1 Cr 0.010 0.467 0.899
Cr2 Cr 0.295 0.420 0.203
Cr3 Cr 0.420 0.295 0.703
Cr4 Cr 0.467 0.010 0.399
Cr5 Cr 0.506 0.980 0.020
Cr6 Cr 0.789 0.911 0.730
Cr7 Cr 0.911 0.789 0.230
Cr8 Cr 0.980 0.506 0.520
P1 P 0.299 0.835 0.179
P2 P 0.835 0.299 0.679
O1 O 0.044 0.380 0.440
O2 O 0.088 0.341 0.211
O3 O 0.098 0.845 0.168
O4 O 0.113 0.324 0.940
O5 O 0.144 0.669 0.926
O6 O 0.147 0.681 0.572
O7 O 0.285 0.345 0.622
O8 O 0.316 0.638 0.166
O9 O 0.324 0.113 0.440
O10 O 0.341 0.088 0.711
O11 O 0.345 0.285 0.122
O12 O 0.366 0.915 0.102
O13 O 0.380 0.044 0.940
O14 O 0.413 0.952 0.272
O15 O 0.436 0.443 0.300
O16 O 0.443 0.436 0.800
O17 O 0.468 0.829 0.439
O18 O 0.578 0.810 0.974
O19 O 0.624 0.753 0.661
O20 O 0.638 0.316 0.666
O21 O 0.669 0.144 0.426
O22 O 0.681 0.147 0.072
O23 O 0.730 0.986 0.824
O24 O 0.753 0.624 0.161
O25 O 0.810 0.578 0.474
O26 O 0.829 0.468 0.939
O27 O 0.837 0.970 0.252
O28 O 0.845 0.098 0.668
O29 O 0.915 0.366 0.602
O30 O 0.952 0.413 0.772
O31 O 0.970 0.837 0.752
O32 O 0.986 0.730 0.324
```



Record 9
This record from the Materials Project describes crystalline MgMn6O10F2 at its relaxed geometry. The functional is PBE+U.

Structure (CIF):
```
data_MgMn6O10F2
_symmetry_space_group_name_H-M 'P 1'
_symmetry_Int_Tables_number 1
_cell_length_a 5.718
_cell_length_b 5.898
_cell_length_c 7.587
_cell_angle_alpha 107.15
_cell_angle_beta 98.20
_cell_angle_gamma 113.09
loop_
_symmetry_equiv_pos_as_xyz
'x,y,z'
loop_
_atom_site_label
_atom_site_type_symbol
_atom_site_fract_x
_atom_site_fract_y
_atom_site_fract_z
Mg1 Mg 0.000 0.000 0.000
Mn1 Mn 0.002 0.040 0.518
Mn2 Mn 0.356 0.528 0.352
Mn3 Mn 0.366 0.943 0.786
Mn4 Mn 0.640 0.072 0.209
Mn5 Mn 0.670 0.487 0.657
Mn6 Mn 0.992 0.499 0.979
O1 O 0.033 0.181 0.305
O2 O 0.282 0.856 0.013
O3 O 0.377 0.158 0.632
O4 O 0.431 0.643 0.620
O5 O 0.585 0.372 0.381
O6 O 0.632 0.852 0.361
O7 O 0.728 0.151 0.977
O8 O 0.746 0.622 0.933
O9 O 0.921 0.353 0.712
O10 O 0.981 0.848 0.699
F1 F 0.087 0.651 0.270
F2 F 0.262 0.369 0.049
```

Output
ΔE to the lowest computed polymorph in eV/f.u.: 0.30



Record 10
This record from the Materials Project describes crystalline VH2O2 at its relaxed geometry. The functional is PBE+U.

Structure (CIF):
```
data_VH2O2
_symmetry_space_group_name_H-M 'P 1'
_symmetry_Int_Tables_number 1
_cell_length_a 4.925
_cell_length_b 5.410
_cell_length_c 3.324
_cell_angle_alpha 90.00
_cell_angle_beta 90.00
_cell_angle_gamma 90.00
loop_
_symmetry_equiv_pos_as_xyz
'x,y,z'
loop_
_atom_site_label
_atom_site_type_symbol
_atom_site_fract_x
_atom_site_fract_y
_atom_site_fract_z
V1 V 0.000 0.000 0.000
V2 V 0.500 0.500 0.500
H1 H 0.006 0.334 0.500
H2 H 0.494 0.834 0.000
H3 H 0.506 0.166 0.000
H4 H 0.994 0.666 0.500
O1 O 0.158 0.769 0.500
O2 O 0.342 0.269 0.000
O3 O 0.658 0.731 0.000
O4 O 0.842 0.231 0.500
```



Record 11
This record from the Materials Project describes crystalline Li3Mn2O5 at its relaxed geometry. The functional is PBE+U.

Structure (CIF):
```
data_Li3Mn2O5
_symmetry_space_group_name_H-M 'P 1'
_symmetry_Int_Tables_number 1
_cell_length_a 24.648
_cell_length_b 24.648
_cell_length_c 24.648
_cell_angle_alpha 6.98
_cell_angle_beta 6.98
_cell_angle_gamma 6.98
loop_
_symmetry_equiv_pos_as_xyz
'x,y,z'
loop_
_atom_site_label
_atom_site_type_symbol
_atom_site_fract_x
_atom_site_fract_y
_atom_site_fract_z
Li1 Li 0.000 0.000 0.000
Li2 Li 0.100 0.100 0.100
Li3 Li 0.304 0.304 0.304
Li4 Li 0.500 0.500 0.500
Li5 Li 0.696 0.696 0.696
Li6 Li 0.900 0.900 0.900
Mn1 Mn 0.200 0.200 0.200
Mn2 Mn 0.400 0.400 0.400
Mn3 Mn 0.600 0.600 0.600
Mn4 Mn 0.800 0.800 0.800
O1 O 0.053 0.053 0.053
O2 O 0.149 0.149 0.149
O3 O 0.252 0.252 0.252
O4 O 0.350 0.350 0.350
O5 O 0.451 0.451 0.451
O6 O 0.549 0.549 0.549
O7 O 0.650 0.650 0.650
O8 O 0.748 0.748 0.748
O9 O 0.851 0.851 0.851
O10 O 0.947 0.947 0.947
```

Output
ΔE to the lowest computed polymorph in eV/f.u.: 2.12



Computed values of formation energy (unit: meV/atom) for the preceding records, in sequence: -2412 -3046 -1571 -2315 -1377 -2686 -1435 -1960 -2115 -1552 -1939.